Below is Ce3S3O16 after structural relaxation, with properties calculated at the PBE-GGA level.

Calculated values
The total energy after the MP2020 corrections comes out at -7.52 eV/atom. The formation energy is -2.551 eV/atom. The electronic total energy is -7.023 eV per atom. The value obtained for the volume is 14.34 A^3/atom.

Lattice parameters (Å, degrees): 9.3595 9.3595 9.3595 108.64 108.64 111.15
Positions (direct):
O: 0.5688 0.1235 0.3504
O: 0.7816 0.4312 0.5547
O: 0.2549 0.2255 0.2361
O: 0.7451 0.7745 0.7639
S: 0.7500 0.2500 0.5000
O: 0.4445 0.6815 0.8969
O: 0.8539 0.3841 0.2380
O: 0.6159 0.8539 0.4699
S: 0.7190 0.3717 0.0907
S: 0.2810 0.6283 0.9093
O: 0.9811 0.7451 0.9706
O: 0.2411 0.3184 0.5596
Ce: 0.7528 0.7528 0.0000
O: 0.0189 0.2549 0.0294
O: 0.3185 0.2154 0.7631
O: 0.2268 0.7816 0.3504
O: 0.2255 0.9895 0.9706
S: 0.6283 0.7190 0.3474
O: 0.2184 0.5688 0.4453
O: 0.0105 0.9811 0.2361
O: 0.8765 0.2268 0.4453
O: 0.7589 0.6816 0.4404
O: 0.9895 0.0189 0.7639
O: 0.2154 0.4523 0.8969
O: 0.6816 0.2411 0.9227
O: 0.7732 0.2184 0.6496
S: 0.2500 0.7500 0.5000
S: 0.3717 0.2810 0.6526
O: 0.7846 0.5477 0.1031
O: 0.1461 0.6159 0.7620
O: 0.4312 0.8765 0.6496
Ce: 0.7582 0.0312 0.7894
O: 0.3184 0.7589 0.0773
O: 0.3841 0.1461 0.5301
O: 0.5477 0.4445 0.7631
Ce: 0.9688 0.7582 0.7269
O: 0.5555 0.3185 0.1031
Ce: 0.2418 0.9688 0.2106
O: 0.1235 0.7732 0.5547
Ce: 0.2472 0.2472 0.0000
Ce: 0.0312 0.2418 0.2731
O: 0.7745 0.0105 0.0294
O: 0.6815 0.7846 0.2369
O: 0.4523 0.5555 0.2369